BaSe (PBE-GGA, relaxed); space-group type = Fm-3m; energy of formation from the pure elements = -2284 meV per atom
1.0
0.000 3.343 3.343
3.343 0.000 3.343
3.343 3.343 0.000
Ba Se
1 1
direct
0.000 0.000 0.000 Ba
0.500 0.500 0.500 Se



BaSe3 (PBE-GGA, relaxed); space-group type = P-42_1m; energy of formation from the pure elements = -1391 meV per atom; maximum piezoelectric response = 0.27 C/m²
1.0
7.421 0.000 0.000
0.000 7.421 0.000
0.000 0.000 4.299
Ba Se
2 6
direct
0.000 0.000 0.000 Ba
0.500 0.500 0.000 Ba
0.000 0.500 0.179 Se
0.192 0.692 0.487 Se
0.308 0.192 0.513 Se
0.500 0.000 0.821 Se
0.692 0.808 0.513 Se
0.808 0.308 0.487 Se



BaSe2 (PBE-GGA, relaxed); space-group type = C2/c; energy of formation from the pure elements = -1708 meV per atom
1.0
4.876 -2.513 0.000
4.876 2.513 0.000
-4.382 0.000 8.412
Ba Se
2 4
direct
0.128 0.872 0.750 Ba
0.872 0.128 0.250 Ba
0.219 0.471 0.974 Se
0.471 0.219 0.474 Se
0.529 0.781 0.526 Se
0.781 0.529 0.026 Se